# 1
# NaSi68, relaxed, DFT PBE
# **Magnetization**: 0.954 Bohr magnetons per cell
# **Crystal system**: trigonal
# **ΔE_f**: 122 meV/atom
# **Total energy**: -5.314 eV/atom
data_NaSi68
_chemical_formula_sum 'Na1 Si68'
_symmetry_space_group_name_H-M 'P 1'
_symmetry_Int_Tables_number 1
_cell_length_a 18.0368
_cell_length_b 18.0368
_cell_length_c 18.0368
_cell_angle_alpha 33.56
_cell_angle_beta 33.56
_cell_angle_gamma 33.56
loop_
_symmetry_equiv_pos_as_xyz
'x,y,z'
loop_
_atom_site_label
_atom_site_type_symbol
_atom_site_fract_x
_atom_site_fract_y
_atom_site_fract_z
Na1 Na 0.0000 0.0000 0.0000
Si1 Si 0.0607 0.6848 0.6848
Si2 Si 0.0697 0.0697 0.6760
Si3 Si 0.0697 0.6760 0.0697
Si4 Si 0.0788 0.0788 0.0788
Si5 Si 0.1118 0.1118 0.4802
Si6 Si 0.1118 0.4802 0.1118
Si7 Si 0.1171 0.4935 0.8872
Si8 Si 0.1171 0.8872 0.4935
Si9 Si 0.1250 0.1250 0.1250
Si10 Si 0.1758 0.5697 0.5697
Si11 Si 0.1845 0.1845 0.5613
Si12 Si 0.1845 0.5613 0.1845
Si13 Si 0.1902 0.1902 0.8142
Si14 Si 0.1902 0.8142 0.1902
Si15 Si 0.1992 0.8053 0.8053
Si16 Si 0.2500 0.2500 0.2500
Si17 Si 0.2577 0.4878 0.8816
Si18 Si 0.2577 0.8816 0.4878
Si19 Si 0.2633 0.2633 0.8946
Si20 Si 0.2633 0.8946 0.2633
Si21 Si 0.2960 0.2960 0.2960
Si22 Si 0.3054 0.3054 0.6989
Si23 Si 0.3054 0.6989 0.3054
Si24 Si 0.3142 0.6902 0.6902
Si25 Si 0.3813 0.7579 0.9879
Si26 Si 0.3813 0.9879 0.7579
Si27 Si 0.3867 0.6177 0.9934
Si28 Si 0.3867 0.9934 0.6177
Si29 Si 0.3943 0.7634 0.7634
Si30 Si 0.4802 0.1118 0.1118
Si31 Si 0.4878 0.2577 0.8816
Si32 Si 0.4878 0.8816 0.2577
Si33 Si 0.4935 0.1171 0.8872
Si34 Si 0.4935 0.8872 0.1171
Si35 Si 0.5613 0.1845 0.1845
Si36 Si 0.5697 0.1758 0.5697
Si37 Si 0.5697 0.5697 0.1758
Si38 Si 0.5789 0.5789 0.5789
Si39 Si 0.6118 0.6118 0.9804
Si40 Si 0.6118 0.9804 0.6118
Si41 Si 0.6177 0.3867 0.9934
Si42 Si 0.6177 0.9934 0.3867
Si43 Si 0.6250 0.6250 0.6250
Si44 Si 0.6760 0.0697 0.0697
Si45 Si 0.6848 0.0607 0.6848
Si46 Si 0.6848 0.6848 0.0607
Si47 Si 0.6902 0.3142 0.6902
Si48 Si 0.6902 0.6902 0.3142
Si49 Si 0.6989 0.3054 0.3054
Si50 Si 0.7500 0.7500 0.7500
Si51 Si 0.7579 0.3813 0.9879
Si52 Si 0.7579 0.9879 0.3813
Si53 Si 0.7634 0.3943 0.7634
Si54 Si 0.7634 0.7634 0.3943
Si55 Si 0.7961 0.7961 0.7961
Si56 Si 0.8053 0.1992 0.8053
Si57 Si 0.8053 0.8053 0.1992
Si58 Si 0.8142 0.1902 0.1902
Si59 Si 0.8816 0.2577 0.4878
Si60 Si 0.8816 0.4878 0.2577
Si61 Si 0.8872 0.1171 0.4935
Si62 Si 0.8872 0.4935 0.1171
Si63 Si 0.8946 0.2633 0.2633
Si64 Si 0.9804 0.6118 0.6118
Si65 Si 0.9879 0.3813 0.7579
Si66 Si 0.9879 0.7579 0.3813
Si67 Si 0.9934 0.3867 0.6177
Si68 Si 0.9934 0.6177 0.3867

***

# 2
# Sr2CuCO5, relaxed, DFT PBE
# **Magnetization**: 0.006 Bohr magnetons per cell
# **Crystal system**: tetragonal
# **ΔE_f**: -2379 meV/atom
# **Total energy**: -6.603 eV/atom
data_Sr2CuCO5
_chemical_formula_sum 'Sr4 Cu2 C2 O10'
_symmetry_space_group_name_H-M 'P 1'
_symmetry_Int_Tables_number 1
_cell_length_a 8.6318
_cell_length_b 8.6318
_cell_length_c 8.6318
_cell_angle_alpha 142.45
_cell_angle_beta 142.45
_cell_angle_gamma 54.16
loop_
_symmetry_equiv_pos_as_xyz
'x,y,z'
loop_
_atom_site_label
_atom_site_type_symbol
_atom_site_fract_x
_atom_site_fract_y
_atom_site_fract_z
Sr1 Sr 0.1127 0.6127 0.5000
Sr2 Sr 0.3873 0.8873 0.5000
Sr3 Sr 0.6127 0.1127 0.5000
Sr4 Sr 0.8873 0.3873 0.5000
Cu1 Cu 0.0000 0.0000 0.0000
Cu2 Cu 0.5000 0.5000 0.0000
C1 C 0.2455 0.2455 0.0000
C2 C 0.7545 0.7545 0.0000
O1 O 0.1434 0.4307 0.0000
O2 O 0.1610 0.1610 0.0000
O3 O 0.2477 0.2477 0.5039
O4 O 0.2563 0.7523 0.0000
O5 O 0.4307 0.1434 0.0000
O6 O 0.5693 0.5693 0.7128
O7 O 0.7437 0.7437 0.4961
O8 O 0.7523 0.2563 0.0000
O9 O 0.8390 0.8390 0.0000
O10 O 0.8566 0.8566 0.2872

***

# 3
# ErInAg2, relaxed, DFT PBE
# **Crystal system**: cubic
# **ΔE_f**: -359 meV/atom
# **Total energy**: -3.605 eV/atom
data_ErInAg2
_chemical_formula_sum 'Er1 In1 Ag2'
_symmetry_space_group_name_H-M 'P 1'
_symmetry_Int_Tables_number 1
_cell_length_a 4.9325
_cell_length_b 4.9325
_cell_length_c 4.9325
_cell_angle_alpha 60.00
_cell_angle_beta 60.00
_cell_angle_gamma 60.00
loop_
_symmetry_equiv_pos_as_xyz
'x,y,z'
loop_
_atom_site_label
_atom_site_type_symbol
_atom_site_fract_x
_atom_site_fract_y
_atom_site_fract_z
Er1 Er 0.0000 0.0000 0.0000
In1 In 0.5000 0.5000 0.5000
Ag1 Ag 0.2500 0.2500 0.2500
Ag2 Ag 0.7500 0.7500 0.7500

***

# 4
# SiO2, relaxed, DFT PBE
# **Crystal system**: tetragonal
# **ΔE_f**: -3258 meV/atom
# **Total energy**: -7.907 eV/atom
data_SiO2
_chemical_formula_sum 'Si16 O32'
_symmetry_space_group_name_H-M 'P 1'
_symmetry_Int_Tables_number 1
_cell_length_a 10.9846
_cell_length_b 10.9846
_cell_length_c 10.9846
_cell_angle_alpha 99.80
_cell_angle_beta 99.80
_cell_angle_gamma 131.26
loop_
_symmetry_equiv_pos_as_xyz
'x,y,z'
loop_
_atom_site_label
_atom_site_type_symbol
_atom_site_fract_x
_atom_site_fract_y
_atom_site_fract_z
Si1 Si 0.0651 0.9259 0.3410
Si2 Si 0.0741 0.4151 0.1392
Si3 Si 0.0849 0.4259 0.8608
Si4 Si 0.2241 0.0849 0.6590
Si5 Si 0.2759 0.9349 0.8608
Si6 Si 0.4151 0.2759 0.3410
Si7 Si 0.4259 0.5651 0.3410
Si8 Si 0.4349 0.7759 0.8608
Si9 Si 0.5651 0.2241 0.1392
Si10 Si 0.5741 0.4349 0.6590
Si11 Si 0.5849 0.7241 0.6590
Si12 Si 0.7241 0.0651 0.1392
Si13 Si 0.7759 0.9151 0.3410
Si14 Si 0.9151 0.5741 0.1392
Si15 Si 0.9259 0.5849 0.8608
Si16 Si 0.9349 0.0741 0.6590
O1 O 0.0139 0.7500 0.2639
O2 O 0.0326 0.5326 0.1601
O3 O 0.0867 0.7788 0.8654
O4 O 0.1043 0.1043 0.7086
O5 O 0.1043 0.3957 0.0000
O6 O 0.1275 0.9674 0.5000
O7 O 0.2212 0.0867 0.3079
O8 O 0.2500 0.5139 0.2639
O9 O 0.2500 0.9861 0.7361
O10 O 0.2788 0.5867 0.8654
O11 O 0.3725 0.8725 0.8399
O12 O 0.3957 0.1043 0.0000
O13 O 0.3957 0.3957 0.2914
O14 O 0.4133 0.2788 0.6921
O15 O 0.4674 0.6275 0.5000
O16 O 0.4861 0.7500 0.7361
O17 O 0.5139 0.2500 0.2639
O18 O 0.5326 0.3725 0.5000
O19 O 0.5867 0.7212 0.3079
O20 O 0.6043 0.6043 0.7086
O21 O 0.6043 0.8957 0.0000
O22 O 0.6275 0.1275 0.1601
O23 O 0.7212 0.4133 0.1346
O24 O 0.7500 0.0139 0.2639
O25 O 0.7500 0.4861 0.7361
O26 O 0.7788 0.9133 0.6921
O27 O 0.8725 0.0326 0.5000
O28 O 0.8957 0.6043 0.0000
O29 O 0.8957 0.8957 0.2914
O30 O 0.9133 0.2212 0.1346
O31 O 0.9674 0.4674 0.8399
O32 O 0.9861 0.2500 0.7361